Entry 1:
A relaxed Al2Si2H4O9 crystal, computed with PBE. Values from VASP.

Geometry as Quantum ESPRESSO input:
```
&SYSTEM
  ibrav = 0, nat = 17, ntyp = 4
/
ATOMIC_SPECIES
Al 26.98 Al.upf
Si 28.09 Si.upf
H 1.01 H.upf
O 16.00 O.upf
CELL_PARAMETERS angstrom
2.624 -4.510 0.000
2.624 4.510 0.000
-0.229 0.000 7.134
ATOMIC_POSITIONS angstrom
Al 2.624 3.026 0.000
Al 2.624 -3.026 0.000
Si 1.569 1.539 2.773
Si 1.569 -1.539 2.773
H 0.979 0.000 5.403
H 3.290 1.599 5.273
H 3.671 0.000 1.166
H 3.290 -1.599 5.273
O 0.357 0.000 6.152
O 1.587 1.703 1.161
O 1.559 0.000 3.326
O 2.909 2.206 3.452
O 3.394 1.731 6.234
O 1.587 -1.703 1.161
O 2.909 -2.206 3.452
O 3.394 -1.731 6.234
O 4.641 0.000 1.092
```

relative energy among the computed polymorphs = 4 meV/atom
symmetry = No. 8
electronic total energy = -6.740 eV per atom
calculated formation energy = -44.3 eV/f.u.



Entry 2:
A relaxed Ca2MgN2 crystal, computed with PBE. Values from VASP.

Geometry as Quantum ESPRESSO input:
```
&SYSTEM
  ibrav = 0, nat = 5, ntyp = 3
/
ATOMIC_SPECIES
Ca 40.08 Ca.upf
Mg 24.30 Mg.upf
N 14.01 N.upf
CELL_PARAMETERS angstrom
3.106 -1.799 0.000
3.106 1.799 0.000
-0.012 0.000 8.231
ATOMIC_POSITIONS angstrom
Ca 1.029 0.000 2.268
Ca 5.170 0.000 5.963
Mg 3.106 0.000 0.000
N 1.032 0.000 6.928
N 5.167 0.000 1.303
```

symmetry = No. 12
electronic total energy = -4.973 eV per atom
calculated formation energy = -3.3 eV/f.u.



Entry 3:
A relaxed Nb16N13 crystal, computed with PBE. Values from VASP.

Geometry as Quantum ESPRESSO input:
```
&SYSTEM
  ibrav = 0, nat = 29, ntyp = 2
/
ATOMIC_SPECIES
Nb 92.91 Nb.upf
N 14.01 N.upf
CELL_PARAMETERS angstrom
-3.135 4.379 6.269
3.135 -4.379 6.269
3.135 4.379 -6.269
ATOMIC_POSITIONS angstrom
Nb 3.135 2.277 -3.139
Nb 1.570 0.000 1.585
Nb 4.700 0.000 1.585
Nb 3.135 2.129 0.000
Nb 0.000 2.183 0.000
Nb 1.633 4.379 -1.626
Nb 1.502 0.000 4.644
Nb 0.000 2.101 3.130
Nb 3.135 2.277 3.139
Nb 1.633 4.379 1.626
Nb 1.502 0.000 7.895
Nb 0.000 6.574 0.000
Nb 0.000 2.249 6.269
Nb -1.565 4.379 4.685
Nb 1.565 4.379 4.685
Nb 0.000 2.101 9.409
N 0.000 0.000 0.000
N 1.571 2.186 -1.565
N 4.698 2.186 -1.565
N 3.135 0.000 3.137
N 1.571 2.186 1.565
N 4.698 2.186 1.565
N 0.000 4.379 0.000
N 0.000 0.000 6.269
N -1.563 2.193 4.704
N 1.563 2.193 4.704
N 0.000 4.379 3.133
N -1.563 2.193 7.835
N 1.563 2.193 7.835
```

symmetry = No. 71
electronic total energy = -10.216 eV per atom
calculated formation energy = -31.0 eV/f.u.



Entry 4:
A relaxed Si2Ag6O7 crystal, computed with PBE. Values from VASP.

Geometry as Quantum ESPRESSO input:
```
&SYSTEM
  ibrav = 0, nat = 30, ntyp = 3
/
ATOMIC_SPECIES
Si 28.09 Si.upf
Ag 107.87 Ag.upf
O 16.00 O.upf
CELL_PARAMETERS angstrom
8.060 0.000 0.000
0.000 5.401 0.000
-4.496 0.000 9.793
ATOMIC_POSITIONS angstrom
Si -0.012 1.222 3.538
Si -2.260 4.179 8.434
Si 5.824 1.222 1.358
Si 3.576 4.179 6.254
Ag -2.211 1.236 5.941
Ag 0.037 4.165 1.045
Ag 2.068 1.022 0.981
Ag -0.180 4.379 5.877
Ag -0.281 1.433 8.451
Ag 1.967 3.968 3.555
Ag 1.596 1.433 6.238
Ag 3.844 3.968 1.341
Ag 3.744 1.022 3.915
Ag 1.496 4.379 8.812
Ag 3.527 1.236 8.748
Ag 5.775 4.165 3.851
O -1.124 1.808 2.448
O -3.372 3.593 7.344
O -2.397 0.439 8.507
O -0.149 4.962 3.610
O -0.327 1.895 5.017
O 1.921 3.506 0.121
O 1.482 1.663 3.034
O -0.766 3.738 7.931
O 4.329 1.663 1.862
O 2.081 3.738 6.758
O 1.643 1.895 9.672
O 3.891 3.506 4.776
O 3.712 0.439 6.182
O 5.960 4.962 1.286
```

relative energy among the computed polymorphs = 6 meV/atom
symmetry = No. 13
electronic total energy = -5.294 eV per atom
calculated formation energy = -21.7 eV/f.u.